! UAl3 (r²SCAN, relaxed); values from VASP
&SYSTEM
  ibrav = 0, nat = 8, ntyp = 2
/
ATOMIC_SPECIES
U 238.03 U.upf
Al 26.98 Al.upf
CELL_PARAMETERS angstrom
-3.6676 5.1485 0.6228
-1.2853 -4.2888 -4.5056
-2.6422 -2.2301 2.8765
ATOMIC_POSITIONS angstrom
U -4.0610 -2.8156 -0.6387
U -3.5340 1.4452 -0.3675
Al -1.5600 -1.0519 -0.4903
Al -4.3705 -0.5641 -2.6936
Al -2.2893 -3.4857 -3.0470
Al -6.0351 -0.3185 -0.5160
Al -3.2245 -0.8063 1.6874
Al -5.3057 2.1152 2.0408
! ΔE_f   -0.21 eV per atom
! Symmetry   P6_3/mmc

***

! CaHoZn2 (r²SCAN, relaxed); values from VASP
&SYSTEM
  ibrav = 0, nat = 4, ntyp = 3
/
ATOMIC_SPECIES
Ca 40.08 Ca.upf
Ho 164.93 Ho.upf
Zn 65.41 Zn.upf
CELL_PARAMETERS angstrom
-0.5197 2.6291 4.2849
-2.0163 4.6331 -0.1068
-4.6011 0.7987 1.9324
ATOMIC_POSITIONS angstrom
Ca -3.5686 4.0305 3.0553
Ho 0.0000 0.0000 0.0000
Zn -1.7843 2.0152 1.5276
Zn -5.3528 6.0457 4.5829
! ΔE_f   -0.30 eV per atom
! Symmetry   Fm-3m

***

! Nd4Os6O19 (r²SCAN, relaxed); values from VASP
&SYSTEM
  ibrav = 0, nat = 29, ntyp = 3
/
ATOMIC_SPECIES
Nd 144.24 Nd.upf
Os 190.23 Os.upf
O 16.00 O.upf
CELL_PARAMETERS angstrom
5.5201 -5.0629 2.0978
-6.9511 -2.6718 2.2472
0.0751 0.8637 -7.7302
ATOMIC_POSITIONS angstrom
Nd -1.4072 -7.4574 1.9095
Nd -2.1884 -0.8464 0.7092
Nd -0.9275 -4.7037 -2.3229
Nd 1.8113 -0.7343 -7.0663
Os -1.4015 -2.4325 -4.7916
Os 2.2761 -4.9180 -1.2329
Os 1.8613 -2.3458 -3.5628
Os -3.6321 -1.9530 -2.1523
Os -3.2172 -4.5253 0.1776
Os 0.0455 -4.4385 1.4065
O -5.1615 -4.0148 0.4456
O -0.4577 -2.4739 1.3897
O 0.8485 -6.2913 -1.6272
O -0.8982 -4.3972 -4.7748
O 3.3155 -5.6426 0.3399
O -3.1455 -5.5278 -1.5838
O -1.4310 -7.7347 4.3450
O -0.0722 -2.1299 -3.3456
O -1.8051 -0.5335 -4.5205
O 1.5280 -4.1755 -2.8911
O -2.6294 -3.1072 -3.4206
O -5.0836 -3.2738 -2.2480
O 0.9074 -3.8600 -0.2564
O -2.6015 -2.9075 -0.7784
O 3.4452 -3.3852 -0.8529
O 0.8151 -6.2413 1.4272
O -1.3561 -5.1322 0.1800
O 1.7966 -3.0869 -5.3736
O -3.0801 -3.3929 1.7685
! ΔE_f   -2.01 eV per atom
! Symmetry   I222

***

! NbSe2Cl2 (r²SCAN, relaxed); values from VASP
&SYSTEM
  ibrav = 0, nat = 10, ntyp = 3
/
ATOMIC_SPECIES
Nb 92.91 Nb.upf
Se 78.96 Se.upf
Cl 35.45 Cl.upf
CELL_PARAMETERS angstrom
5.9657 -0.0059 2.3505
2.3953 5.5278 2.6626
-0.1042 0.0070 7.6320
ATOMIC_POSITIONS angstrom
Nb 5.8167 1.4171 2.7343
Nb 2.4401 4.1117 9.9108
Se 7.6201 4.9108 6.9853
Se 0.6367 0.6180 5.6598
Se 4.3840 0.2656 8.4161
Se 3.8728 5.2633 4.2290
Cl 6.2537 2.8051 4.9319
Cl 2.0031 2.7237 7.7131
Cl 3.3710 1.9274 3.5286
Cl 4.8858 3.6014 9.1164
! ΔE_f   -1.05 eV per atom
! Symmetry   P-1

***

! EuP2Os2 (r²SCAN, relaxed); values from VASP
&SYSTEM
  ibrav = 0, nat = 5, ntyp = 3
/
ATOMIC_SPECIES
Eu 151.96 Eu.upf
P 30.97 P.upf
Os 190.23 Os.upf
CELL_PARAMETERS angstrom
3.8323 0.0000 -1.3320
-0.4629 3.8043 -1.3320
-0.0172 -0.0195 6.1295
ATOMIC_POSITIONS angstrom
Eu 0.0000 0.0000 0.0000
P 2.1676 2.4474 0.0576
P 1.1845 1.3374 3.4080
Os 2.7499 0.9413 1.7328
Os 0.6023 2.8435 1.7328
! ΔE_f   -0.79 eV per atom
! Symmetry   I4/mmm

***

! CaV2O4 (r²SCAN, relaxed); values from VASP
&SYSTEM
  ibrav = 0, nat = 28, ntyp = 3
/
ATOMIC_SPECIES
Ca 40.08 Ca.upf
V 50.94 V.upf
O 16.00 O.upf
CELL_PARAMETERS angstrom
-2.1477 -2.0488 4.1714
0.0799 -5.2097 -2.6545
10.1229 -1.9989 4.2295
ATOMIC_POSITIONS angstrom
Ca 5.7931 -4.4981 6.0530
Ca 2.2563 -4.7572 -0.3079
Ca 1.4127 -2.9512 2.5766
Ca 6.6442 -6.3055 3.1710
V 3.9243 -5.9225 2.2108
V -0.9335 -4.9830 0.1785
V 4.1349 -3.3155 3.5393
V 8.9869 -4.2937 5.5649
V 2.9801 -5.6553 4.9087
V 8.0642 -9.2316 5.7238
V 5.0431 -1.0237 2.1332
V 0.0233 -2.6052 -1.2740
O 2.2992 -6.4479 3.1882
O -0.7488 -5.8026 1.9549
O 5.7457 -2.8513 2.5132
O 8.7784 -3.4065 3.8213
O 5.6429 -5.4696 1.2438
O 8.8987 -6.1006 2.6195
O 2.4277 -3.8034 4.4927
O -0.8359 -3.1477 3.1458
O 4.7542 -5.1570 4.0088
O 7.7091 -8.3033 3.9290
O 3.2757 -1.5326 3.0414
O 0.3906 -3.5261 0.5215
O 3.3492 -4.0961 1.7226
O 0.3234 -0.9510 1.7916
O 4.7476 -7.7172 2.7093
O 7.6838 -5.7486 5.2679
! ΔE_f   -2.85 eV per atom
! Symmetry   P2_1

***

! YMg2Sc (r²SCAN, relaxed); values from VASP
&SYSTEM
  ibrav = 0, nat = 4, ntyp = 3
/
ATOMIC_SPECIES
Y 88.91 Y.upf
Mg 24.30 Mg.upf
Sc 44.96 Sc.upf
CELL_PARAMETERS angstrom
0.0000 3.6987 3.6987
3.6987 0.0000 3.6987
3.6987 3.6987 0.0000
ATOMIC_POSITIONS angstrom
Y 5.5481 5.5481 5.5481
Mg 3.6987 3.6987 3.6987
Mg 0.0000 0.0000 0.0000
Sc 1.8494 1.8494 1.8494
! ΔE_f   -0.06 eV per atom
! Symmetry   Fm-3m

***

! Sm5Ga3 (r²SCAN, relaxed); values from VASP
&SYSTEM
  ibrav = 0, nat = 32, ntyp = 2
/
ATOMIC_SPECIES
Sm 150.36 Sm.upf
Ga 69.72 Ga.upf
CELL_PARAMETERS angstrom
-6.9876 2.7397 -2.0104
1.0334 -2.6659 -7.2249
-6.0026 -12.5433 3.7697
ATOMIC_POSITIONS angstrom
Sm -5.4449 -12.4952 -0.8841
Sm -7.3135 -7.1084 -2.0637
Sm -8.9034 -10.7844 -0.6986
Sm -11.8233 -8.9279 0.8293
Sm -2.8126 -2.7484 -1.4773
Sm -6.1429 -3.4495 -5.8731
Sm -9.1442 -9.7211 -3.9882
Sm -5.8139 -9.0200 0.4076
Sm -7.2609 -12.6226 -4.1996
Sm -3.4601 -8.9741 -2.1356
Sm -5.7293 -8.7960 -5.1565
Sm -9.8969 -5.2561 -0.0139
Sm -0.1335 -3.5416 -6.2949
Sm -3.0533 -1.6851 -4.7669
Sm -4.6433 -5.3611 -3.4019
Sm -6.5119 0.0257 -4.5814
Sm -4.6959 0.1531 -1.2659
Sm -8.4967 -3.4954 -3.3299
Sm -6.2274 -3.6735 -0.3091
Sm -2.0599 -7.2134 -5.4516
Ga -8.7739 -8.0280 0.6152
Ga -6.4308 -10.0770 -2.4718
Ga -4.5168 -11.3669 -3.7161
Ga -10.1947 -8.0104 -1.5886
Ga -3.1829 -4.4415 -6.0807
Ga -5.5260 -2.3925 -2.9937
Ga -7.4400 -1.1026 -1.7494
Ga -1.7621 -4.4591 -3.8770
Ga -10.4306 -12.4092 -3.1804
Ga -4.5275 -6.3320 -0.4003
Ga -1.5262 -0.0603 -2.2852
Ga -7.4293 -6.1376 -5.0652
! ΔE_f   -0.56 eV per atom
! Symmetry   P4/ncc

***

! Ca4Cu5O10 (r²SCAN, relaxed); values from VASP
&SYSTEM
  ibrav = 0, nat = 38, ntyp = 3
/
ATOMIC_SPECIES
Ca 40.08 Ca.upf
Cu 63.55 Cu.upf
O 16.00 O.upf
CELL_PARAMETERS angstrom
5.3219 -6.8853 0.0000
5.3219 6.8853 0.0000
0.0000 0.0000 6.3602
ATOMIC_POSITIONS angstrom
Ca 7.9828 -0.8753 4.7702
Ca 2.6609 0.8753 1.5901
Ca 7.9828 0.8753 1.5901
Ca 2.6609 -0.8753 4.7702
Ca 7.9828 2.6065 4.7702
Ca 2.6609 -2.6065 1.5901
Ca 7.9828 -2.6065 1.5901
Ca 2.6609 2.6065 4.7702
Cu 0.0000 0.0000 0.0000
Cu 5.3219 0.0000 3.1801
Cu 5.3219 -1.4009 6.2104
Cu 5.3219 1.4009 0.1499
Cu 5.3219 5.4844 3.3300
Cu 5.3219 -5.4844 3.0303
Cu 5.3219 -2.7615 2.9205
Cu 5.3219 2.7615 3.4397
Cu 5.3219 4.1238 0.2596
Cu 5.3219 -4.1238 6.1007
O 4.0886 0.0000 0.0000
O 6.5551 0.0000 0.0000
O 1.2333 0.0000 3.1801
O 9.4104 0.0000 3.1801
O 3.9829 -2.7076 5.9672
O 6.6608 2.7076 0.3930
O 6.6608 4.1776 3.5731
O 3.9829 2.7076 0.3930
O 3.9829 -4.1776 2.7871
O 6.6608 -2.7076 5.9672
O 6.6608 -4.1776 2.7871
O 3.9829 4.1776 3.5731
O 6.5947 -1.2918 2.9212
O 4.0490 1.2918 3.4390
O 9.3709 -1.2918 0.2589
O 6.5947 1.2918 3.4390
O 1.2729 1.2918 6.1013
O 4.0490 -1.2918 2.9212
O 9.3709 1.2918 6.1013
O 1.2729 -1.2918 0.2589
! ΔE_f   -1.83 eV per atom
! Symmetry   Cmce

***

! EuTe2Pb (r²SCAN, relaxed); values from VASP
&SYSTEM
  ibrav = 0, nat = 4, ntyp = 3
/
ATOMIC_SPECIES
Eu 151.96 Eu.upf
Te 127.60 Te.upf
Pb 207.20 Pb.upf
CELL_PARAMETERS angstrom
4.6405 0.0000 0.0000
0.0000 4.6405 0.0000
0.0000 0.0000 6.5691
ATOMIC_POSITIONS angstrom
Eu 0.0000 0.0000 0.0000
Te 0.0000 0.0000 3.2845
Te 2.3202 2.3202 0.0000
Pb 2.3202 2.3202 3.2845
! ΔE_f   -1.24 eV per atom
! Symmetry   P4/mmm

***

! Sr2HfO4 (r²SCAN, relaxed); values from VASP
&SYSTEM
  ibrav = 0, nat = 28, ntyp = 3
/
ATOMIC_SPECIES
Sr 87.62 Sr.upf
Hf 178.49 Hf.upf
O 16.00 O.upf
CELL_PARAMETERS angstrom
-0.9756 4.5425 12.7983
-7.9480 0.9099 11.0175
5.9381 -6.2237 -10.5540
ATOMIC_POSITIONS angstrom
Sr -1.3109 1.4764 11.2429
Sr -2.9005 1.7723 7.7411
Sr -1.6746 -2.2477 2.0189
Sr 4.3769 -5.2698 -6.3873
Sr -7.3623 4.4985 19.6490
Sr -4.7971 -0.3398 10.3524
Sr 1.8116 -0.4315 2.9094
Sr -0.0849 -2.5436 5.5207
Hf 1.4764 -3.4975 1.3539
Hf 0.2504 0.5225 7.0761
Hf 0.0000 0.0000 0.0000
Hf -3.2358 -1.2938 6.1857
O -6.0854 2.6507 18.4188
O 5.1413 -4.1135 -4.2338
O 0.9702 0.0827 5.1551
O -3.7420 2.2864 9.9869
O -0.4694 0.9623 8.9971
O -5.1816 3.1660 13.8289
O -3.6649 0.6160 5.5877
O -0.3976 -4.0955 0.7886
O -1.3618 -0.6958 6.7509
O -4.0327 0.8164 12.5059
O -0.7198 0.4398 1.9210
O -2.2656 -1.2111 11.3408
O -2.5160 -1.7336 4.2647
O -3.9556 -0.8540 8.1067
O 1.0473 -1.5877 0.7559
O -2.5878 3.3242 12.4731
! ΔE_f   -3.49 eV per atom
! Symmetry   I4_1/acd

***

! EuInPd (r²SCAN, relaxed); values from VASP
&SYSTEM
  ibrav = 0, nat = 12, ntyp = 3
/
ATOMIC_SPECIES
Eu 151.96 Eu.upf
In 114.82 In.upf
Pd 106.42 Pd.upf
CELL_PARAMETERS angstrom
4.5157 0.0000 0.0000
0.0000 7.4434 -0.0002
0.0000 -0.0003 8.5020
ATOMIC_POSITIONS angstrom
Eu 1.1289 3.9844 6.9805
Eu 3.3867 3.4587 1.5212
Eu 1.1289 0.2627 5.7727
Eu 3.3867 7.1804 2.7290
In 1.1289 1.0699 0.5340
In 3.3867 2.6516 4.7852
In 1.1289 4.7915 3.7166
In 3.3867 6.3732 7.9677
Pd 3.3867 1.7153 7.4456
Pd 1.1289 2.0058 3.1943
Pd 3.3867 5.4373 5.3072
Pd 1.1289 5.7278 1.0565
! ΔE_f   -0.78 eV per atom
! Symmetry   Pnma

***

no.,VASP energy (eV per atom)
1,-25.245
2,-14.739
3,-20.943
4,-14.187
5,-33.291
6,-11.295
7,-10.076
8,-23.436
9,-9.310
10,-37.654
11,-17.682
12,-28.799